Record 1
Computed, not measured: DyLuHg2 after structural relaxation at the PBE level of DFT. Values from VASP.

Computed properties:
final energy	-2.908	eV/atom
space-group type	No. 225

Geometry as Quantum ESPRESSO input:
```
&SYSTEM
  ibrav = 0, nat = 4, ntyp = 3
/
ATOMIC_SPECIES
Dy 162.50 Dy.upf
Lu 174.97 Lu.upf
Hg 200.59 Hg.upf
ATOMIC_POSITIONS crystal
Dy 0.5000 0.5000 0.5000
Lu 0.0000 0.0000 0.0000
Hg 0.2500 0.2500 0.2500
Hg 0.7500 0.7500 0.7500
CELL_PARAMETERS angstrom
0.0000 3.6936 3.6936
3.6936 0.0000 3.6936
3.6936 3.6936 0.0000
```


Record 2
Computed, not measured: DyMgHg2 after structural relaxation at the PBE level of DFT. Values from VASP.

Computed properties:
final energy	-2.161	eV/atom
space-group type	No. 225

Geometry as Quantum ESPRESSO input:
```
&SYSTEM
  ibrav = 0, nat = 4, ntyp = 3
/
ATOMIC_SPECIES
Dy 162.50 Dy.upf
Mg 24.30 Mg.upf
Hg 200.59 Hg.upf
ATOMIC_POSITIONS crystal
Dy 0.5000 0.5000 0.5000
Mg 0.0000 0.0000 0.0000
Hg 0.2500 0.2500 0.2500
Hg 0.7500 0.7500 0.7500
CELL_PARAMETERS angstrom
0.0000 3.5944 3.5944
3.5944 0.0000 3.5944
3.5944 3.5944 0.0000
```


Record 3
Computed, not measured: SmDyHg2 after structural relaxation at the PBE level of DFT. Values from VASP.

Computed properties:
final energy	-2.953	eV/atom
space-group type	No. 225

Geometry as Quantum ESPRESSO input:
```
&SYSTEM
  ibrav = 0, nat = 4, ntyp = 3
/
ATOMIC_SPECIES
Sm 150.36 Sm.upf
Dy 162.50 Dy.upf
Hg 200.59 Hg.upf
ATOMIC_POSITIONS crystal
Sm 0.0000 0.0000 0.0000
Dy 0.5000 0.5000 0.5000
Hg 0.2500 0.2500 0.2500
Hg 0.7500 0.7500 0.7500
CELL_PARAMETERS angstrom
0.0000 3.7685 3.7685
3.7685 0.0000 3.7685
3.7685 3.7685 0.0000
```


Record 4
Computed, not measured: DyYHg2 after structural relaxation at the PBE level of DFT. Values from VASP.

Computed properties:
final energy	-3.414	eV/atom
space-group type	No. 225

Geometry as Quantum ESPRESSO input:
```
&SYSTEM
  ibrav = 0, nat = 4, ntyp = 3
/
ATOMIC_SPECIES
Dy 162.50 Dy.upf
Y 88.91 Y.upf
Hg 200.59 Hg.upf
ATOMIC_POSITIONS crystal
Dy 0.5000 0.5000 0.5000
Y 0.0000 0.0000 0.0000
Hg 0.2500 0.2500 0.2500
Hg 0.7500 0.7500 0.7500
CELL_PARAMETERS angstrom
-0.1184 -2.7097 4.5295
-0.4970 2.5558 4.5928
-4.4950 -0.3562 2.7462
```


Record 5
Computed, not measured: DyHo after structural relaxation at the PBE level of DFT. Values from VASP.

Computed properties:
final energy	-4.580	eV/atom
space-group type	No. 187

Geometry as Quantum ESPRESSO input:
```
&SYSTEM
  ibrav = 0, nat = 2, ntyp = 2
/
ATOMIC_SPECIES
Dy 162.50 Dy.upf
Ho 164.93 Ho.upf
ATOMIC_POSITIONS crystal
Dy 0.6667 0.3333 0.5000
Ho 0.3333 0.6667 0.0000
CELL_PARAMETERS angstrom
-2.2575 0.1964 2.7915
2.2506 -2.7879 -0.2993
3.9420 2.8616 2.9865
```


Record 6
Computed, not measured: Dy3Ho after structural relaxation at the PBE level of DFT. Values from VASP.

Computed properties:
final energy	-4.577	eV/atom
space-group type	No. 221

Geometry as Quantum ESPRESSO input:
```
&SYSTEM
  ibrav = 0, nat = 4, ntyp = 2
/
ATOMIC_SPECIES
Dy 162.50 Dy.upf
Ho 164.93 Ho.upf
ATOMIC_POSITIONS crystal
Dy 0.5000 0.0000 0.5000
Dy 0.0000 0.5000 0.5000
Dy 0.5000 0.5000 0.0000
Ho 0.0000 0.0000 0.0000
CELL_PARAMETERS angstrom
-1.5889 -2.2371 -4.1772
-2.5256 -3.3280 2.7429
-4.0094 2.9829 -0.0724
```


Record 7
Computed, not measured: DyHoIr2 after structural relaxation at the PBE level of DFT. Values from VASP.

Computed properties:
final energy	-7.568	eV/atom
space-group type	No. 225

Geometry as Quantum ESPRESSO input:
```
&SYSTEM
  ibrav = 0, nat = 4, ntyp = 3
/
ATOMIC_SPECIES
Dy 162.50 Dy.upf
Ho 164.93 Ho.upf
Ir 192.22 Ir.upf
ATOMIC_POSITIONS crystal
Dy 0.5000 0.5000 0.5000
Ho 0.0000 0.0000 0.0000
Ir 0.2500 0.2500 0.2500
Ir 0.7500 0.7500 0.7500
CELL_PARAMETERS angstrom
0.0000 3.4229 3.4229
3.4229 0.0000 3.4229
3.4229 3.4229 0.0000
```


Record 8
Computed, not measured: DyHoMg2 after structural relaxation at the PBE level of DFT. Values from VASP.

Computed properties:
final energy	-3.172	eV/atom
space-group type	No. 225

Geometry as Quantum ESPRESSO input:
```
&SYSTEM
  ibrav = 0, nat = 4, ntyp = 3
/
ATOMIC_SPECIES
Dy 162.50 Dy.upf
Ho 164.93 Ho.upf
Mg 24.30 Mg.upf
ATOMIC_POSITIONS crystal
Dy 0.5000 0.5000 0.5000
Ho 0.0000 0.0000 0.0000
Mg 0.7500 0.7500 0.7500
Mg 0.2500 0.2500 0.2500
CELL_PARAMETERS angstrom
-4.6051 -2.6506 0.5845
-4.5397 2.0753 -1.9126
-2.3681 -2.2132 -4.2506
```


Record 9
Computed, not measured: DyHoMn4 after structural relaxation at the PBE level of DFT. Values from VASP.

Computed properties:
final energy	-7.510	eV/atom
space-group type	No. 216
total magnetization	4.44	μB per cell

Geometry as Quantum ESPRESSO input:
```
&SYSTEM
  ibrav = 0, nat = 6, ntyp = 3
/
ATOMIC_SPECIES
Dy 162.50 Dy.upf
Ho 164.93 Ho.upf
Mn 54.94 Mn.upf
ATOMIC_POSITIONS crystal
Dy 0.2500 0.2500 0.2500
Ho 0.0000 0.0000 0.0000
Mn 0.6250 0.6250 0.1249
Mn 0.6250 0.1249 0.6250
Mn 0.1249 0.6250 0.6250
Mn 0.6250 0.6250 0.6250
CELL_PARAMETERS angstrom
0.0000 3.6253 3.6253
3.6253 0.0000 3.6253
3.6253 3.6253 0.0000
```


Record 10
Computed, not measured: DyHoO3 after structural relaxation at the PBE level of DFT. Values from VASP.

Computed properties:
final energy	-8.326	eV/atom
space-group type	No. 185
total magnetization	0.00	μB per cell

Geometry as Quantum ESPRESSO input:
```
&SYSTEM
  ibrav = 0, nat = 30, ntyp = 3
/
ATOMIC_SPECIES
Dy 162.50 Dy.upf
Ho 164.93 Ho.upf
O 16.00 O.upf
ATOMIC_POSITIONS crystal
Dy 0.3333 0.6667 0.2334
Dy 0.0000 0.0000 0.2647
Dy 0.0000 0.0000 0.7647
Dy 0.3333 0.6667 0.7334
Dy 0.6667 0.3333 0.7334
Dy 0.6667 0.3333 0.2334
Ho 0.0000 0.6673 0.4966
Ho 0.0000 0.3327 0.9966
Ho 0.3327 0.3327 0.4966
Ho 0.6673 0.6673 0.9966
Ho 0.3327 0.0000 0.9966
Ho 0.6673 0.0000 0.4966
O 0.0000 0.6945 0.6704
O 0.0000 0.6351 0.3245
O 0.0000 0.3649 0.8245
O 0.0000 0.3055 0.1704
O 0.3333 0.6667 0.0223
O 0.0000 0.0000 0.4609
O 0.3333 0.6667 0.5223
O 0.0000 0.0000 0.9609
O 0.3055 0.3055 0.6704
O 0.3649 0.3649 0.3245
O 0.3055 0.0000 0.1704
O 0.6351 0.6351 0.8245
O 0.6945 0.6945 0.1704
O 0.3649 0.0000 0.8245
O 0.6667 0.3333 0.5223
O 0.6667 0.3333 0.0223
O 0.6351 0.0000 0.3245
O 0.6945 0.0000 0.6704
CELL_PARAMETERS angstrom
3.2117 -5.5629 0.0000
3.2117 5.5629 0.0000
0.0000 0.0000 12.7478
```


Record 11
Computed, not measured: DyHoRu2 after structural relaxation at the PBE level of DFT. Values from VASP.

Computed properties:
final energy	-7.275	eV/atom
space-group type	No. 225

Geometry as Quantum ESPRESSO input:
```
&SYSTEM
  ibrav = 0, nat = 4, ntyp = 3
/
ATOMIC_SPECIES
Dy 162.50 Dy.upf
Ho 164.93 Ho.upf
Ru 101.07 Ru.upf
ATOMIC_POSITIONS crystal
Dy 0.5000 0.5000 0.5000
Ho 0.0000 0.0000 0.0000
Ru 0.2500 0.2500 0.2500
Ru 0.7500 0.7500 0.7500
CELL_PARAMETERS angstrom
-4.2919 -0.1074 2.1519
-1.7364 3.9582 2.0928
-3.7258 2.3134 -1.9568
```


Record 12
Computed, not measured: DyHoTl2 after structural relaxation at the PBE level of DFT. Values from VASP.

Computed properties:
final energy	-3.811	eV/atom
space-group type	No. 225

Geometry as Quantum ESPRESSO input:
```
&SYSTEM
  ibrav = 0, nat = 4, ntyp = 3
/
ATOMIC_SPECIES
Dy 162.50 Dy.upf
Ho 164.93 Ho.upf
Tl 204.38 Tl.upf
ATOMIC_POSITIONS crystal
Dy 0.5000 0.5000 0.5000
Ho 0.0000 0.0000 0.0000
Tl 0.2500 0.2500 0.2500
Tl 0.7500 0.7500 0.7500
CELL_PARAMETERS angstrom
0.0000 3.7875 3.7875
3.7875 0.0000 3.7875
3.7875 3.7875 0.0000
```


Record 13
Computed, not measured: DyI3 after structural relaxation at the PBE level of DFT. Values from VASP.

Computed properties:
final energy	-3.665	eV/atom
space-group type	No. 194

Geometry as Quantum ESPRESSO input:
```
&SYSTEM
  ibrav = 0, nat = 8, ntyp = 2
/
ATOMIC_SPECIES
Dy 162.50 Dy.upf
I 126.90 I.upf
ATOMIC_POSITIONS crystal
Dy 0.3333 0.6667 0.7500
Dy 0.6667 0.3333 0.2500
I 0.2182 0.4364 0.2500
I 0.5636 0.7818 0.2500
I 0.2182 0.7818 0.2500
I 0.7818 0.5636 0.7500
I 0.4364 0.2182 0.7500
I 0.7818 0.2182 0.7500
CELL_PARAMETERS angstrom
-3.7441 10.2070 -4.0268
-5.2518 -4.9261 9.0868
2.5008 1.8922 2.4712
```


Record 14
Computed, not measured: DyI3O9 after structural relaxation at the PBE level of DFT. Values from VASP.

Computed properties:
distance to the lowest polymorph of the same formula	12	meV/atom
space-group type	No. 14
total magnetization	0.00	μB per cell

Geometry as Quantum ESPRESSO input:
```
&SYSTEM
  ibrav = 0, nat = 52, ntyp = 3
/
ATOMIC_SPECIES
Dy 162.50 Dy.upf
I 126.90 I.upf
O 16.00 O.upf
ATOMIC_POSITIONS crystal
Dy 0.2542 0.1718 0.3537
Dy 0.7458 0.8282 0.6463
Dy 0.7542 0.8282 0.1463
Dy 0.2458 0.1718 0.8537
I 0.0432 0.6671 0.3562
I 0.4568 0.6671 0.8562
I 0.5432 0.3329 0.1438
I 0.7940 0.1649 0.3904
I 0.2940 0.8351 0.1096
I 0.9796 0.7332 0.8901
I 0.9568 0.3329 0.6438
I 0.4796 0.2668 0.6099
I 0.5204 0.7332 0.3901
I 0.0204 0.2668 0.1099
I 0.2060 0.8351 0.6096
I 0.7060 0.1649 0.8904
O 0.0261 0.8423 0.6813
O 0.4203 0.3215 0.4791
O 0.2083 0.2264 0.1764
O 0.3091 0.8520 0.8227
O 0.5300 0.0193 0.6130
O 0.4664 0.3383 0.2695
O 0.7083 0.7736 0.3236
O 0.7917 0.7736 0.8236
O 0.0300 0.9807 0.8870
O 0.1739 0.4686 0.3613
O 0.9664 0.6617 0.2305
O 0.1683 0.0353 0.5091
O 0.2917 0.2264 0.6764
O 0.6909 0.1480 0.1773
O 0.5261 0.1577 0.8187
O 0.5797 0.6785 0.5209
O 0.0797 0.3215 0.9791
O 0.3261 0.4686 0.8613
O 0.3317 0.0353 0.0091
O 0.3335 0.6376 0.0454
O 0.5336 0.6617 0.7305
O 0.6683 0.9647 0.9909
O 0.8261 0.5314 0.6387
O 0.1665 0.6376 0.5454
O 0.6665 0.3624 0.9546
O 0.9700 0.0193 0.1130
O 0.9739 0.1577 0.3187
O 0.4739 0.8423 0.1813
O 0.6739 0.5314 0.1387
O 0.1909 0.8520 0.3227
O 0.4700 0.9807 0.3870
O 0.8335 0.3624 0.4546
O 0.8317 0.9647 0.4909
O 0.8091 0.1480 0.6773
O 0.0336 0.3383 0.7695
O 0.9203 0.6785 0.0209
CELL_PARAMETERS angstrom
8.6099 0.0000 0.0000
0.0000 7.2090 0.0000
0.0000 2.4239 13.3335
```


Record 15
Computed, not measured: DyI3O9 after structural relaxation at the PBE level of DFT. Values from VASP.

Computed properties:
distance to the lowest polymorph of the same formula	0	meV/atom
space-group type	No. 14

Geometry as Quantum ESPRESSO input:
```
&SYSTEM
  ibrav = 0, nat = 52, ntyp = 3
/
ATOMIC_SPECIES
Dy 162.50 Dy.upf
I 126.90 I.upf
O 16.00 O.upf
ATOMIC_POSITIONS crystal
Dy 0.2866 0.1473 0.3954
Dy 0.2134 0.1473 0.8954
Dy 0.7866 0.8527 0.1046
Dy 0.7134 0.8527 0.6046
I 0.3120 0.0728 0.1419
I 0.5943 0.4183 0.1979
I 0.0943 0.5817 0.3021
I 0.1880 0.0728 0.6419
I 0.6444 0.3546 0.4801
I 0.8120 0.9272 0.3581
I 0.8556 0.3546 0.9801
I 0.4057 0.5817 0.8021
I 0.3556 0.6454 0.5199
I 0.1444 0.6454 0.0199
I 0.9057 0.4183 0.6979
I 0.6880 0.9272 0.8581
O 0.0277 0.3906 0.8834
O 0.8758 0.1256 0.0147
O 0.5540 0.9403 0.1869
O 0.1772 0.3444 0.7445
O 0.9285 0.6462 0.9411
O 0.4889 0.3625 0.8657
O 0.5715 0.6462 0.4411
O 0.3946 0.9043 0.6700
O 0.6772 0.6556 0.7555
O 0.3228 0.3444 0.2445
O 0.0715 0.3538 0.0589
O 0.5831 0.3401 0.1119
O 0.8717 0.8848 0.4721
O 0.0111 0.3625 0.3657
O 0.6242 0.1256 0.5147
O 0.6283 0.8848 0.9721
O 0.5111 0.6375 0.1343
O 0.1283 0.1152 0.5279
O 0.0540 0.0597 0.3131
O 0.1054 0.9043 0.1700
O 0.1242 0.8744 0.9853
O 0.0831 0.6599 0.3881
O 0.3758 0.8744 0.4853
O 0.4169 0.6599 0.8881
O 0.4285 0.3538 0.5589
O 0.5277 0.6094 0.6166
O 0.8946 0.0957 0.8300
O 0.9169 0.3401 0.6119
O 0.6054 0.0957 0.3300
O 0.8228 0.6556 0.2555
O 0.4460 0.0597 0.8131
O 0.9723 0.6094 0.1166
O 0.3717 0.1152 0.0279
O 0.9460 0.9403 0.6869
O 0.9889 0.6375 0.6343
O 0.4723 0.3906 0.3834
CELL_PARAMETERS angstrom
-1.8587 -2.8294 5.1106
1.8178 -7.8029 -3.6588
15.5894 -5.5105 2.6190
```